P) # Cr5NiS8

An optimized crystal structure of Cr5NiS8 (PBE-GGA, the Materials Project database).

## Properties
Space group: P2/m
Spin magnetization in μB/atom: 0.9945
Mass density in kg/m³: 4248

Cell: 5.991 3.442 10.906 Å, 90.00 91.11 90.00°
Element x y z (fractional)
Cr 0.000 0.000 0.000
Cr 0.015 0.000 0.731
Cr 0.485 0.500 0.757
Cr 0.515 0.500 0.243
Cr 0.985 0.000 0.269
Ni 0.500 0.500 0.500
S 0.155 0.500 0.131
S 0.175 0.500 0.620
S 0.324 0.000 0.876
S 0.345 0.000 0.367
S 0.655 0.000 0.633
S 0.676 0.000 0.124
S 0.825 0.500 0.380
S 0.845 0.500 0.869


Q) # Cr5NiS8

An optimized crystal structure of Cr5NiS8 (PBE-GGA, the Materials Project database).

## Properties
Space group: P-1
Spin magnetization in μB/atom: 0.9922
Mass density in kg/m³: 4315

Cell: 6.410 6.605 6.748 Å, 105.61 105.40 116.13°
Element x y z (fractional)
Cr 0.000 0.000 0.000
Cr 0.233 0.708 0.477
Cr 0.236 0.720 0.977
Cr 0.764 0.280 0.023
Cr 0.767 0.292 0.523
Ni 0.000 0.000 0.500
S 0.208 0.445 0.656
S 0.215 0.449 0.155
S 0.293 0.024 0.329
S 0.294 0.022 0.827
S 0.706 0.978 0.173
S 0.707 0.976 0.671
S 0.785 0.551 0.845
S 0.792 0.555 0.344


Energy ordering: P) at the bottom, the next structure 24 meV per atom above.